## U3TiGe5 (PBE)

Data for a relaxed structure of U3TiGe5.

Lattice parameters (Å, degrees): 8.5118 8.5118 5.6617 90.00 90.00 120.00
Space group P6_3/mcm (No. 193)
One atom of each set of equivalent atoms:
U 0.0000 0.3896 0.2500
Ti 0.0000 0.0000 0.0000
Ge 0.0000 0.2628 0.7500
Ge 0.3333 0.6667 0.0000

Results
Formation energy from the elements = -38.9 kJ per mole of atoms
E = -7.6130 eV/atom